[1]
Below is a relaxed structure of KBaPS4, with properties calculated at the PBE level.

Properties
**Calculated volume**: 29.418 A^3/atom

abc: 6.786 9.893 12.269
angles: 90.00 90.00 90.00
Fractional positions:
P: 0.250 0.898 0.826
P: 0.250 0.602 0.326
P: 0.750 0.398 0.674
P: 0.750 0.102 0.174
S: 0.006 0.896 0.728
S: 0.994 0.104 0.272
S: 0.494 0.896 0.728
S: 0.750 0.222 0.584
S: 0.994 0.396 0.772
S: 0.750 0.570 0.579
S: 0.250 0.070 0.921
S: 0.250 0.430 0.421
S: 0.250 0.722 0.916
S: 0.506 0.104 0.272
S: 0.006 0.604 0.228
S: 0.250 0.778 0.416
S: 0.494 0.604 0.228
S: 0.750 0.930 0.079
S: 0.506 0.396 0.772
S: 0.750 0.278 0.084
K: 0.750 0.668 0.878
K: 0.250 0.168 0.622
K: 0.250 0.332 0.122
K: 0.750 0.832 0.378
Ba: 0.250 0.880 0.142
Ba: 0.250 0.620 0.642
Ba: 0.750 0.380 0.358
Ba: 0.750 0.120 0.858

***

[2]
Below is a relaxed structure of YHfMg14O16, with properties calculated at the PBE level.

Properties
**Offset from the most stable computed form**: 0.0 meV/atom
**Calculated volume**: 10.590 A^3/atom
**Total moment**: 1.63 μB/f.u.

abc: 4.393 8.771 8.795
angles: 90.00 90.00 90.00
Fractional positions:
O: 0.000 0.000 0.254
O: 0.500 0.000 0.500
O: 0.500 0.500 0.500
O: 0.500 0.748 0.751
O: 0.000 0.500 0.250
O: 0.000 0.738 0.000
O: 0.000 0.000 0.746
O: 0.500 0.252 0.751
O: 0.000 0.500 0.750
O: 0.000 0.262 0.000
O: 0.500 0.000 0.000
O: 0.500 0.748 0.249
O: 0.000 0.260 0.500
O: 0.500 0.500 0.000
O: 0.500 0.252 0.249
O: 0.000 0.740 0.500
Mg: 0.500 0.264 0.000
Mg: 0.500 0.500 0.252
Mg: 0.000 0.261 0.747
Mg: 0.000 0.500 0.500
Mg: 0.000 0.739 0.253
Mg: 0.500 0.500 0.748
Mg: 0.500 0.741 0.500
Mg: 0.000 0.739 0.747
Mg: 0.500 0.259 0.500
Mg: 0.500 0.736 0.000
Mg: 0.000 0.500 0.000
Mg: 0.000 0.261 0.253
Mg: 0.500 0.000 0.255
Mg: 0.500 0.000 0.745
Hf: 0.000 0.000 0.500
Y: 0.000 0.000 0.000

***

[3]
Below is a relaxed structure of Mg6AlSb, with properties calculated at the PBE level.

Properties
**Calculated volume**: 22.258 A^3/atom

abc: 5.249 6.200 10.943
angles: 90.00 90.00 90.00
Fractional positions:
Mg: 0.500 0.247 0.914
Mg: 0.500 0.500 0.668
Mg: 0.000 0.252 0.583
Mg: 0.000 0.000 0.332
Mg: 0.000 0.248 0.083
Mg: 0.500 0.000 0.168
Mg: 0.500 0.753 0.914
Mg: 0.500 0.747 0.414
Mg: 0.000 0.748 0.583
Mg: 0.500 0.253 0.414
Mg: 0.000 0.500 0.832
Mg: 0.000 0.752 0.083
Al: 0.000 0.500 0.341
Al: 0.000 0.000 0.841
Sb: 0.500 0.500 0.165
Sb: 0.500 0.000 0.665

***

[4]
Below is a relaxed structure of TlFeI3, with properties calculated at the PBE level.

Properties
**Calculated volume**: 31.765 A^3/atom
**Total moment**: 4.00 μB/f.u.

abc: 4.010 9.824 16.127
angles: 90.00 90.00 90.00
Fractional positions:
Tl: 0.250 0.943 0.673
Tl: 0.750 0.557 0.173
Tl: 0.750 0.057 0.327
Tl: 0.250 0.443 0.827
I: 0.250 0.767 0.301
I: 0.750 0.987 0.090
I: 0.250 0.689 0.000
I: 0.250 0.013 0.910
I: 0.250 0.189 0.500
I: 0.750 0.733 0.801
I: 0.250 0.267 0.199
I: 0.750 0.311 0.000
I: 0.750 0.487 0.410
I: 0.750 0.233 0.699
I: 0.250 0.513 0.590
I: 0.750 0.811 0.500
Fe: 0.750 0.351 0.549
Fe: 0.250 0.149 0.049
Fe: 0.750 0.851 0.951
Fe: 0.250 0.649 0.451

***

[5]
Below is a relaxed structure of La3NbCl3O6, with properties calculated at the PBE level.

Properties
**Calculated volume**: 16.678 A^3/atom
**Total moment**: 0.97 μB/f.u.

abc: 9.617 9.617 5.414
angles: 90.00 90.00 120.00
Fractional positions:
O: 0.158 0.522 0.486
O: 0.522 0.364 0.986
O: 0.636 0.158 0.514
O: 0.364 0.842 0.486
O: 0.158 0.522 0.014
O: 0.478 0.636 0.486
O: 0.522 0.364 0.514
O: 0.842 0.478 0.514
O: 0.478 0.636 0.014
O: 0.842 0.478 0.986
O: 0.364 0.842 0.014
O: 0.636 0.158 0.986
La: 0.405 0.090 0.250
La: 0.090 0.685 0.750
La: 0.910 0.315 0.250
La: 0.595 0.910 0.750
La: 0.315 0.405 0.750
La: 0.685 0.595 0.250
Cl: 0.810 0.760 0.750
Cl: 0.760 0.950 0.250
Cl: 0.240 0.050 0.750
Cl: 0.050 0.810 0.250
Cl: 0.190 0.240 0.250
Cl: 0.950 0.190 0.750
Nb: 0.333 0.667 0.250
Nb: 0.667 0.333 0.750

***

[6]
Below is a relaxed structure of TiAu2, with properties calculated at the PBE level.

Properties
**Calculated volume**: 17.267 A^3/atom

abc: 4.959 4.959 4.959
angles: 139.08 139.08 59.25
Fractional positions:
Au: 0.336 0.336 0.000
Au: 0.664 0.664 0.000
Ti: 0.000 0.000 0.000

***

[7]
Below is a relaxed structure of Na3N, with properties calculated at the PBE level.

Properties
**Calculated volume**: 17.535 A^3/atom
**Total moment**: 0.00 μB/f.u.

abc: 5.065 7.190 7.705
angles: 90.00 90.00 90.00
Fractional positions:
Na: 0.382 0.159 0.434
Na: 0.587 0.530 0.250
Na: 0.618 0.841 0.934
Na: 0.382 0.159 0.066
Na: 0.882 0.341 0.934
Na: 0.413 0.470 0.750
Na: 0.118 0.659 0.066
Na: 0.913 0.030 0.250
Na: 0.087 0.970 0.750
Na: 0.882 0.341 0.566
Na: 0.118 0.659 0.434
Na: 0.618 0.841 0.566
N: 0.059 0.364 0.250
N: 0.941 0.636 0.750
N: 0.441 0.864 0.250
N: 0.559 0.136 0.750

***

[8]
Below is a relaxed structure of ZrNCl, with properties calculated at the PBE level.

Properties
**Calculated volume**: 21.041 A^3/atom
**Total moment**: 0.00 μB/f.u.

abc: 3.452 3.452 12.234
angles: 90.00 90.00 120.00
Fractional positions:
Zr: 0.000 0.000 0.817
Zr: 0.000 0.000 0.183
Cl: 0.667 0.333 0.337
Cl: 0.333 0.667 0.663
N: 0.667 0.333 0.869
N: 0.333 0.667 0.131

***

[9]
Below is a relaxed structure of NaAu3, with properties calculated at the PBE level.

Properties
**Calculated volume**: 18.563 A^3/atom
**Total moment**: 0.00 μB/f.u.

abc: 5.284 5.284 5.284
angles: 134.34 134.34 66.55
Fractional positions:
Au: 0.500 0.500 0.000
Au: 0.750 0.250 0.500
Au: 0.250 0.750 0.500
Na: 0.000 0.000 0.000

***

[10]
Below is a relaxed structure of CrCo2N3, with properties calculated at the PBE level.

Properties
**Offset from the most stable computed form**: 287.6 meV/atom
**Calculated volume**: 10.525 A^3/atom
**Total moment**: 0.14 μB/f.u.

abc: 5.381 8.988 9.495
angles: 90.00 90.00 33.37
Fractional positions:
N: 0.000 0.000 0.672
N: 0.500 0.004 0.750
N: 0.500 0.504 0.750
N: 0.500 0.496 0.250
N: 0.000 0.157 0.995
N: 0.000 0.343 0.495
N: 0.000 0.000 0.328
N: 0.000 0.843 0.005
N: 0.500 0.996 0.250
N: 0.000 0.657 0.505
N: 0.000 0.500 0.172
N: 0.000 0.500 0.828
Co: 0.000 0.303 0.131
Co: 0.000 0.197 0.631
Co: 0.000 0.494 0.625
Co: 0.000 0.506 0.375
Co: 0.000 0.006 0.125
Co: 0.000 0.697 0.869
Co: 0.000 0.803 0.369
Co: 0.000 0.994 0.875
Cr: 0.000 0.310 0.851
Cr: 0.000 0.690 0.149
Cr: 0.000 0.190 0.351
Cr: 0.000 0.810 0.649

***

[11]
Below is a relaxed structure of In6Sn8S19, with properties calculated at the PBE level.

Properties
**Calculated volume**: 23.389 A^3/atom
**Total moment**: 0.01 μB/f.u.

abc: 3.865 15.065 15.096
angles: 62.50 83.31 82.84
Fractional positions:
S: 0.112 0.802 0.975
S: 0.865 0.473 0.784
S: 0.197 0.086 0.533
S: 0.253 0.599 0.899
S: 0.888 0.198 0.027
S: 0.133 0.530 0.216
S: 0.673 0.294 0.366
S: 0.527 0.738 0.221
S: 0.750 0.406 0.094
S: 0.286 0.151 0.270
S: 0.473 0.263 0.780
S: 0.328 0.699 0.635
S: 0.036 0.372 0.550
S: 0.919 0.945 0.227
S: 0.082 0.052 0.773
S: 0.803 0.921 0.464
S: 0.716 0.842 0.734
S: 0.499 0.001 0.999
S: 0.965 0.628 0.449
Sn: 0.576 0.226 0.618
Sn: 0.423 0.776 0.380
Sn: 0.356 0.470 0.632
Sn: 0.644 0.532 0.367
Sn: 0.743 0.108 0.406
Sn: 0.791 0.654 0.764
Sn: 0.326 0.399 0.939
Sn: 0.672 0.597 0.070
In: 0.257 0.892 0.595
In: 0.605 0.922 0.865
In: 0.209 0.345 0.234
In: 0.395 0.077 0.135
In: 0.014 0.854 0.116
In: 0.986 0.145 0.884

***

[12]
Below is a relaxed structure of Ba2UCo, with properties calculated at the PBE level.

Properties
**Calculated volume**: 29.458 A^3/atom
**Total moment**: 3.33 μB/f.u.

abc: 5.503 5.503 5.503
angles: 60.00 60.00 60.00
Fractional positions:
Co: 0.500 0.500 0.500
U: 0.000 0.000 0.000
Ba: 0.250 0.250 0.250
Ba: 0.750 0.750 0.750

***

[13]
Below is a relaxed structure of Mn4Fe2P3, with properties calculated at the PBE level.

Properties
**Calculated volume**: 11.765 A^3/atom
**Total moment**: 12.97 μB/f.u.

abc: 3.246 6.118 6.162
angles: 59.91 90.00 90.00
Fractional positions:
Mn: 0.000 0.000 0.256
Mn: 0.500 0.000 0.602
Mn: 0.000 0.262 0.741
Mn: 0.000 0.738 0.003
Fe: 0.500 0.402 0.997
Fe: 0.500 0.598 0.398
P: 0.000 0.330 0.336
P: 0.000 0.670 0.666
P: 0.500 0.000 0.001

***

[14]
Below is a relaxed structure of CrFe2Te4, with properties calculated at the PBE level.

Properties
**Offset from the most stable computed form**: 0.0 meV/atom
**Calculated volume**: 21.643 A^3/atom
**Total moment**: 6.85 μB/f.u.

abc: 3.980 6.656 5.719
angles: 89.54 90.04 89.84
Fractional positions:
Te: 0.751 0.593 0.244
Te: 0.249 0.408 0.764
Te: 0.749 0.907 0.756
Te: 0.251 0.092 0.236
Fe: 0.250 0.750 0.000
Fe: 0.250 0.750 0.500
Cr: 0.750 0.250 0.500

***

[15]
Below is a relaxed structure of Mg2Si, with properties calculated at the PBE level.

Properties
**Calculated volume**: 21.048 A^3/atom
**Total moment**: 0.00 μB/f.u.

abc: 5.964 6.031 7.631
angles: 66.96 90.00 90.00
Fractional positions:
Mg: 0.591 0.985 0.581
Mg: 0.208 0.418 0.566
Mg: 0.672 0.183 0.145
Mg: 0.091 0.015 0.419
Mg: 0.172 0.817 0.855
Mg: 0.676 0.753 0.003
Mg: 0.176 0.247 0.997
Mg: 0.708 0.582 0.434
Si: 0.824 0.210 0.778
Si: 0.529 0.501 0.795
Si: 0.324 0.790 0.222
Si: 0.029 0.499 0.205

***

[16]
Below is a relaxed structure of LiTiO2, with properties calculated at the PBE level.

Properties
**Calculated volume**: 9.337 A^3/atom
**Total moment**: 0.00 μB/f.u.

abc: 2.901 2.901 10.252
angles: 90.00 90.00 120.00
Fractional positions:
Ti: 0.667 0.333 0.000
Ti: 0.333 0.667 0.500
Li: 0.667 0.333 0.740
Li: 0.333 0.667 0.240
O: 0.000 0.000 0.118
O: 0.333 0.667 0.883
O: 0.000 0.000 0.618
O: 0.667 0.333 0.383

***

[17]
Below is a relaxed structure of TaMnAs, with properties calculated at the PBE level.

Properties
**Calculated volume**: 18.572 A^3/atom
**Total moment**: 2.12 μB/f.u.

abc: 4.287 4.287 4.287
angles: 60.00 60.00 60.00
Fractional positions:
As: 0.750 0.750 0.750
Ta: 0.000 0.000 0.000
Mn: 0.250 0.250 0.250

***

[18]
Below is a relaxed structure of ErZnNi, with properties calculated at the PBE level.

Properties
**Calculated volume**: 17.495 A^3/atom

abc: 6.989 6.989 3.722
angles: 90.00 90.00 120.00
Fractional positions:
Zn: 0.242 0.242 0.000
Zn: 0.758 0.000 0.000
Zn: 0.000 0.758 0.000
Ni: 0.000 0.000 0.500
Ni: 0.667 0.333 0.000
Ni: 0.333 0.667 0.000
Er: 0.413 0.000 0.500
Er: 0.000 0.413 0.500
Er: 0.587 0.587 0.500

***

[19]
Below is a relaxed structure of CaNiBN, with properties calculated at the PBE level.

Properties
**Calculated volume**: 11.912 A^3/atom
**Total moment**: 0.00 μB/f.u.

abc: 3.535 3.535 7.624
angles: 90.00 90.00 90.00
Fractional positions:
B: 0.000 0.500 0.846
B: 0.500 0.000 0.154
N: 0.500 0.000 0.337
N: 0.000 0.500 0.663
Ni: 0.000 0.000 0.000
Ni: 0.500 0.500 0.000
Ca: 0.000 0.500 0.341
Ca: 0.500 0.000 0.659

***

| no. | ΔH_f (0 K) (eV per formula unit) |
| --- | --- |
| 1 | -10.313 |
| 2 | -91.886 |
| 3 | -0.406 |
| 4 | -2.064 |
| 5 | -41.071 |
| 6 | -1.269 |
| 7 | 0.821 |
| 8 | -5.210 |
| 9 | -0.782 |
| 10 | 0.354 |
| 11 | -24.483 |
| 12 | 5.228 |
| 13 | -4.125 |
| 14 | -1.855 |
| 15 | 0.170 |
| 16 | -11.700 |
| 17 | 1.196 |
| 18 | -1.433 |
| 19 | -3.864 |